(1)
Material: Li2Ni3BiO8
Method: DFT, PBE with a Hubbard U
State: optimized geometry

Structure (extended XYZ):
```
14
Lattice="2.949 1.702 5.117 -2.949 1.702 5.117 0.000 -3.405 5.117" Properties=species:S:1:pos:R:3 pbc="T T T"
Li 0.000 0.000 1.858
Li 0.000 0.000 13.495
Ni -1.474 -0.851 5.117
Ni -1.474 0.851 10.235
Ni 0.000 1.702 5.117
Bi 0.000 0.000 7.676
O 0.000 -1.604 6.276
O -1.389 0.802 6.276
O 0.000 0.000 4.163
O -1.389 -0.802 9.076
O 1.389 0.802 6.276
O 0.000 0.000 11.189
O 1.389 -0.802 9.076
O 0.000 1.604 9.076
```

Computed properties:
The space group is R-3m, No. 166.

(2)
Material: Li2Ni2BiO6
Method: DFT, PBE with a Hubbard U
State: optimized geometry

Structure (extended XYZ):
```
22
Lattice="4.586 -2.677 0.000 4.586 2.677 0.000 0.000 0.000 10.160" Properties=species:S:1:pos:R:3 pbc="T T T"
Li 2.293 0.510 2.540
Li 2.293 -0.510 7.620
Li 6.879 0.510 2.540
Li 6.879 -0.510 7.620
Ni 1.514 0.000 0.000
Ni 3.072 0.000 5.080
Ni 6.099 0.000 5.080
Ni 7.658 0.000 0.000
Bi 0.000 0.000 5.080
Bi 4.586 0.000 0.000
O 1.650 0.830 6.210
O 4.586 1.864 1.022
O 2.936 0.830 9.029
O 1.650 -0.830 3.949
O 4.586 0.813 6.102
O 2.936 -0.830 1.131
O 6.236 0.830 9.029
O 4.586 -0.813 4.058
O 7.522 0.830 6.210
O 6.236 -0.830 1.131
O 4.586 -1.864 9.137
O 7.522 -0.830 3.949
```

Computed properties:
The space group is Cmce, No. 64.

(3)
Material: Li2Ni3BiO8
Method: DFT, PBE with a Hubbard U
State: optimized geometry

Structure (extended XYZ):
```
28
Lattice="0.136 -5.648 1.765 2.587 1.571 -5.084 10.524 0.951 2.198" Properties=species:S:1:pos:R:3 pbc="T T T"
Li 3.696 -2.683 1.046
Li 8.890 0.617 1.264
Li 4.357 -3.743 -2.385
Li 9.551 -0.443 -2.167
Ni 6.691 -4.385 0.322
Ni 7.849 2.046 -3.984
Ni 6.623 -1.563 -0.560
Ni 11.885 -1.089 0.539
Ni 10.592 -1.875 3.081
Ni 11.817 1.736 -0.344
Bi 3.959 -0.388 -1.553
Bi 9.288 -2.737 0.431
O 6.304 -3.346 -1.277
O 11.499 -0.047 -1.060
O 1.747 -3.079 -0.060
O 6.941 0.220 0.157
O 5.988 -0.692 -2.153
O 11.318 -3.040 -0.171
O 4.689 -1.177 0.295
O 10.019 -3.526 2.277
O 4.901 -4.220 0.994
O 10.094 -0.920 1.212
O 3.152 -2.206 -2.332
O 8.346 1.094 -2.115
O 3.227 0.400 -3.398
O 8.557 -1.949 -1.416
O 1.929 -0.086 -0.950
O 7.258 -2.434 1.032
```

(4)
Material: LiV2Bi2Pb2O10
Method: DFT, PBE with a Hubbard U
State: optimized geometry

Structure (extended XYZ):
```
17
Lattice="6.469 -3.060 0.000 6.469 3.060 0.000 -3.146 0.000 7.804" Properties=species:S:1:pos:R:3 pbc="T T T"
Li 0.000 0.000 0.000
V 3.093 0.000 2.869
V 6.699 0.000 4.935
Bi -1.980 0.000 5.429
Bi 11.773 0.000 2.375
Pb 1.957 0.000 6.634
Pb 7.835 0.000 1.169
O 3.809 1.490 2.177
O 1.437 0.000 2.425
O 6.469 1.363 0.000
O 5.984 1.490 5.627
O 3.274 0.000 4.578
O 6.519 0.000 3.225
O 3.809 -1.490 2.177
O 6.469 -1.363 0.000
O 8.355 0.000 5.379
O 5.984 -1.490 5.627
```

Computed properties:
The space group is C2/m, No. 12.

(5)
Material: Li2V3BiO8
Method: DFT, PBE with a Hubbard U
State: optimized geometry

Structure (extended XYZ):
```
56
Lattice="6.188 -6.207 0.000 6.188 6.207 0.000 -0.003 0.000 8.738" Properties=species:S:1:pos:R:3 pbc="T T T"
Li 1.529 0.000 1.042
Li 4.632 3.053 5.485
Li 4.651 0.042 7.621
Li 7.740 3.053 3.253
Li 7.721 0.043 1.117
Li 4.655 -3.077 5.440
Li 7.718 -3.077 3.298
Li 10.843 0.000 7.696
V 6.186 5.948 4.369
V 4.444 1.551 2.196
V 2.986 -0.080 4.217
V 1.641 -1.630 6.395
V 4.547 -1.430 2.022
V 3.202 -3.002 8.618
V 7.929 1.551 6.542
V 6.188 -2.859 0.000
V 7.826 -1.430 6.716
V 9.387 -0.080 4.521
V 9.171 -3.002 0.120
V 10.732 -1.630 2.343
Bi 6.188 3.105 0.000
Bi 6.186 -0.015 4.369
Bi 4.677 -4.596 2.187
Bi 7.695 -4.596 6.551
O 3.178 3.168 2.127
O 5.961 5.801 2.263
O 1.453 1.179 4.238
O 6.411 5.801 6.475
O 4.323 1.730 0.143
O 5.814 3.001 2.292
O 4.317 1.373 4.270
O 1.571 -1.517 4.399
O 3.116 0.006 2.281
O 3.068 -0.242 6.142
O 1.755 -1.583 8.403
O 6.558 3.001 6.447
O 5.855 0.172 2.093
O 4.425 -1.492 4.030
O 3.077 -2.947 1.765
O 9.194 3.168 6.611
O 4.622 -1.592 0.013
O 8.050 1.730 8.596
O 6.518 0.172 6.646
O 8.055 1.373 4.468
O 6.024 -2.795 2.104
O 4.708 -4.275 8.598
O 6.348 -2.795 6.635
O 9.256 0.006 6.457
O 7.750 -1.592 8.725
O 7.947 -1.492 4.709
O 9.305 -0.242 2.597
O 10.919 1.179 4.500
O 7.665 -4.275 0.141
O 10.618 -1.583 0.335
O 9.296 -2.947 6.974
O 10.801 -1.517 4.339
```

Computed properties:
The space group is C2, No. 5.

(6)
Material: Li2V3BiO8
Method: DFT, PBE with a Hubbard U
State: optimized geometry

Structure (extended XYZ):
```
56
Lattice="8.712 0.000 0.000 0.035 8.799 0.000 0.008 0.002 8.803" Properties=species:S:1:pos:R:3 pbc="T T T"
Li 0.000 0.000 0.000
Li 0.051 4.402 4.336
Li 2.184 2.253 2.230
Li 2.255 6.630 6.549
Li 4.392 4.429 8.767
Li 4.416 0.072 4.403
Li 6.556 2.193 6.501
Li 6.608 6.632 2.151
V 0.937 3.129 7.673
V 1.165 1.007 5.581
V 1.354 7.732 3.443
V 3.144 1.106 7.844
V 3.318 7.924 1.246
V 3.500 5.716 3.232
V 5.314 1.236 1.067
V 5.452 3.449 3.103
V 5.657 5.515 5.303
V 7.524 3.328 0.870
V 7.685 5.373 7.479
V 7.827 7.602 5.447
Bi 1.147 5.579 1.080
Bi 3.313 3.366 5.508
Bi 5.499 7.691 7.630
Bi 7.689 1.138 3.232
O 0.649 3.162 0.997
O 0.876 5.173 7.529
O 0.970 2.878 5.584
O 1.142 7.840 5.451
O 1.207 7.801 1.431
O 1.217 1.141 7.641
O 1.248 1.033 3.607
O 1.594 5.599 3.370
O 2.969 3.173 7.766
O 3.126 1.005 5.823
O 3.210 7.939 8.009
O 3.303 1.137 1.019
O 3.342 7.700 3.240
O 3.445 5.899 1.243
O 3.569 3.665 3.095
O 3.655 5.655 5.286
O 5.057 1.264 7.841
O 5.322 1.500 3.055
O 5.393 5.503 3.236
O 5.434 8.189 1.207
O 5.550 3.214 1.061
O 5.595 3.491 5.087
O 5.756 5.406 7.411
O 5.846 7.577 5.387
O 7.312 1.277 0.933
O 7.386 3.457 2.929
O 7.533 5.314 0.698
O 7.657 3.342 7.707
O 7.666 5.565 5.499
O 7.836 7.364 7.408
O 7.834 0.759 5.586
O 7.999 7.582 3.563
```

Computed properties:
The space group is P1, No. 1.

(7)
Material: LiBiW2O8
Method: DFT, PBE with a Hubbard U
State: optimized geometry

Structure (extended XYZ):
```
24
Lattice="5.153 0.000 0.000 0.000 5.997 0.000 -4.558 0.000 10.238" Properties=species:S:1:pos:R:3 pbc="T T T"
Li -1.140 1.338 2.560
Li -3.419 4.659 7.679
Bi -0.842 0.982 7.679
Bi 1.437 5.015 2.560
W 1.311 1.996 0.112
W -0.968 4.001 5.231
W 1.563 1.996 5.007
W -0.716 4.001 10.127
O -1.938 2.349 6.085
O 0.341 3.648 0.966
O 0.581 0.880 1.386
O -1.698 5.117 6.505
O -2.674 0.764 9.112
O -0.395 5.233 3.993
O -0.027 2.447 4.043
O -2.306 3.550 9.162
O 2.901 2.447 1.077
O 0.621 3.550 6.196
O 0.989 0.764 6.246
O 3.269 5.233 1.126
O 2.292 0.880 3.733
O 0.013 5.117 8.853
O 0.254 2.349 9.273
O 2.533 3.648 4.153
```

Computed properties:
The space group is P2/c, No. 13.

(8)
Material: MgMn3BiO8
Method: DFT, PBE with a Hubbard U
State: optimized geometry

Structure (extended XYZ):
```
13
Lattice="2.987 1.724 5.685 -2.987 1.724 5.685 0.000 -3.449 5.685" Properties=species:S:1:pos:R:3 pbc="T T T"
Mg 0.000 0.000 0.000
Mn -1.493 -0.862 5.685
Mn -1.493 0.862 11.370
Mn 0.000 1.724 5.685
Bi 0.000 0.000 8.528
O 0.000 -1.638 6.750
O -1.418 0.819 6.750
O 0.000 0.000 4.731
O -1.418 -0.819 10.306
O 1.418 0.819 6.750
O 0.000 0.000 12.324
O 1.418 -0.819 10.306
O 0.000 1.638 10.306
```

Computed properties:
The space group is R-3m, No. 166.

(9)
Material: Mg6MnBiO8
Method: DFT, PBE with a Hubbard U
State: optimized geometry

Structure (extended XYZ):
```
16
Lattice="4.558 0.000 0.000 0.000 4.558 0.000 0.000 0.000 8.953" Properties=species:S:1:pos:R:3 pbc="T T T"
Mg 0.000 0.000 0.000
Mg 0.000 0.000 4.476
Mg 0.000 2.279 2.099
Mg 0.000 2.279 6.854
Mg 2.279 0.000 2.099
Mg 2.279 0.000 6.854
Mn 2.279 2.279 0.000
Bi 2.279 2.279 4.476
O 0.000 0.000 2.222
O 0.000 0.000 6.731
O 0.000 2.279 0.000
O 0.000 2.279 4.476
O 2.279 0.000 0.000
O 2.279 0.000 4.476
O 2.279 2.279 2.095
O 2.279 2.279 6.858
```

Computed properties:
The space group is P4/mmm, No. 123.

(10)
Material: MgMnBiO5
Method: DFT, PBE with a Hubbard U
State: optimized geometry

Structure (extended XYZ):
```
64
Lattice="5.268 0.000 0.000 0.000 15.283 0.000 0.000 0.000 10.726" Properties=species:S:1:pos:R:3 pbc="T T T"
Mg 0.033 0.730 1.531
Mg 0.033 6.911 6.894
Mg 2.601 8.372 1.531
Mg 2.601 14.553 6.894
Mg 2.667 0.730 3.832
Mg 2.667 6.911 9.195
Mg 5.235 8.372 3.832
Mg 5.235 14.553 9.195
Mn 0.114 9.054 9.649
Mn 0.114 13.870 4.286
Mn 2.520 1.413 9.649
Mn 2.520 6.229 4.286
Mn 2.748 9.054 6.441
Mn 2.748 13.870 1.078
Mn 5.154 1.413 6.441
Mn 5.154 6.229 1.078
Bi 0.150 3.481 3.814
Bi 0.150 4.161 9.177
Bi 2.484 11.122 3.814
Bi 2.484 11.802 9.177
Bi 2.784 3.481 1.549
Bi 2.784 4.161 6.912
Bi 5.118 11.122 1.549
Bi 5.118 11.802 6.912
O 0.321 10.650 8.960
O 0.321 12.275 3.597
O 0.736 0.323 7.435
O 0.736 7.318 2.072
O 0.969 1.807 5.113
O 0.969 5.834 10.476
O 1.004 0.899 10.263
O 1.004 6.743 4.900
O 1.225 2.217 2.438
O 1.225 5.424 7.801
O 1.408 9.859 2.438
O 1.408 13.066 7.801
O 1.630 8.540 10.263
O 1.630 14.384 4.900
O 1.665 9.449 5.113
O 1.665 13.475 10.476
O 1.898 7.965 7.435
O 1.898 14.960 2.072
O 2.313 3.008 8.960
O 2.313 4.633 3.597
O 2.955 10.650 7.130
O 2.955 12.275 1.766
O 3.370 0.323 8.655
O 3.370 7.318 3.292
O 3.603 1.807 0.250
O 3.603 5.834 5.614
O 3.638 0.899 5.827
O 3.638 6.743 0.464
O 3.859 2.217 2.925
O 3.859 5.424 8.288
O 4.042 9.859 2.925
O 4.042 13.066 8.288
O 4.264 8.540 5.827
O 4.264 14.384 0.464
O 4.299 9.449 0.250
O 4.299 13.475 5.614
O 4.532 7.965 8.655
O 4.532 14.960 3.292
O 4.947 3.008 7.130
O 4.947 4.633 1.766
```

Computed properties:
The space group is Pbca, No. 61.

(11)
Material: MgMnBiO5
Method: DFT, PBE with a Hubbard U
State: optimized geometry

Structure (extended XYZ):
```
32
Lattice="5.387 0.000 0.000 0.000 11.631 0.000 -3.070 0.000 7.291" Properties=species:S:1:pos:R:3 pbc="T T T"
Mg -0.261 0.927 1.294
Mg -1.796 4.888 4.939
Mg 4.114 6.743 2.351
Mg 2.579 10.704 5.997
Mn 1.589 7.526 0.208
Mn 0.054 9.921 3.854
Mn 2.264 1.710 3.437
Mn 0.729 4.105 7.083
Bi -0.159 1.168 6.017
Bi 1.376 4.648 2.372
Bi 0.942 6.984 4.919
Bi 2.477 10.463 1.274
O -0.503 8.298 3.557
O -2.038 9.149 7.203
O 0.557 6.639 1.254
O -0.978 10.808 4.900
O -1.185 6.658 6.050
O 0.349 10.789 2.405
O 1.344 0.301 0.096
O -0.191 5.515 3.741
O 0.783 2.086 2.642
O -0.752 3.729 6.287
O 3.070 7.902 1.004
O 1.535 9.545 4.649
O 2.509 6.117 3.550
O 0.974 11.330 7.195
O 1.968 0.842 4.886
O 3.503 4.974 1.241
O 3.295 0.823 2.391
O 1.761 4.992 6.036
O 4.356 2.482 0.088
O 2.821 3.333 3.734
```

Computed properties:
The space group is P2_1/c, No. 14.

Number 1: E -5.02 eV per atom, energy of formation from the pure elements -1.344 eV/atom. Number 2: E -5.09 eV per atom, energy of formation from the pure elements -1.477 eV/atom. Number 3: E -5.04 eV per atom, energy of formation from the pure elements -1.362 eV/atom. Number 4: E -6.16 eV per atom, energy of formation from the pure elements -1.779 eV/atom. Number 5: E -6.86 eV per atom, energy of formation from the pure elements -2.288 eV/atom. Number 6: E -6.86 eV per atom, energy of formation from the pure elements -2.294 eV/atom. Number 7: E -6.89 eV per atom, energy of formation from the pure elements -2.146 eV/atom. Number 8: E -6.74 eV per atom, energy of formation from the pure elements -1.964 eV/atom. Number 9: E -5.83 eV per atom, energy of formation from the pure elements -2.388 eV/atom. Number 10: E -6.15 eV per atom, energy of formation from the pure elements -1.860 eV/atom. Number 11: E -6.21 eV per atom, energy of formation from the pure elements -1.922 eV/atom.